1.
Below is an optimized crystal structure of Rb3Sc2As3O12, with properties calculated at the PBE-GGA level.

Values from the calculation:
The value obtained for the energy of formation is -2.471 eV/atom.

Geometry as POSCAR:
```
Rb3Sc2As3O12
1.0
-16.332 1.547 5.168
-5.323 -1.943 -16.240
-0.877 -17.019 2.323
Rb Sc As O
48 32 48 192
Direct
0.494 0.745 0.998
0.506 0.245 0.502
0.006 0.255 0.498
0.994 0.755 0.002
0.998 0.494 0.745
0.502 0.506 0.245
0.498 0.006 0.255
0.002 0.994 0.755
0.745 0.998 0.494
0.245 0.502 0.506
0.255 0.498 0.006
0.755 0.002 0.994
0.506 0.255 0.002
0.494 0.755 0.498
0.994 0.745 0.502
0.006 0.245 0.998
0.002 0.506 0.255
0.498 0.494 0.755
0.502 0.994 0.745
0.998 0.006 0.245
0.255 0.002 0.506
0.755 0.498 0.494
0.745 0.502 0.994
0.245 0.998 0.006
0.370 0.630 0.130
0.630 0.130 0.370
0.130 0.370 0.630
0.870 0.870 0.870
0.630 0.370 0.870
0.370 0.870 0.630
0.870 0.630 0.370
0.130 0.130 0.130
0.248 0.752 0.252
0.752 0.252 0.248
0.252 0.248 0.752
0.748 0.748 0.748
0.752 0.248 0.748
0.248 0.748 0.752
0.748 0.752 0.248
0.252 0.252 0.252
0.125 0.875 0.375
0.875 0.375 0.125
0.375 0.125 0.875
0.625 0.625 0.625
0.875 0.125 0.625
0.125 0.625 0.875
0.625 0.875 0.125
0.375 0.375 0.375
0.283 0.997 0.251
0.717 0.497 0.249
0.217 0.003 0.751
0.783 0.503 0.749
0.251 0.283 0.997
0.249 0.717 0.497
0.751 0.217 0.003
0.749 0.783 0.503
0.997 0.251 0.283
0.497 0.249 0.717
0.003 0.751 0.217
0.503 0.749 0.783
0.717 0.003 0.749
0.283 0.503 0.751
0.783 0.997 0.249
0.217 0.497 0.251
0.749 0.717 0.003
0.751 0.283 0.503
0.249 0.783 0.997
0.251 0.217 0.497
0.003 0.749 0.717
0.503 0.751 0.283
0.997 0.249 0.783
0.497 0.251 0.217
0.500 0.000 0.000
0.500 0.500 0.500
0.000 0.000 0.500
0.000 0.500 0.000
0.500 0.000 0.500
0.500 0.500 0.000
0.000 0.000 0.000
0.000 0.500 0.500
0.361 0.131 0.099
0.639 0.631 0.401
0.139 0.869 0.599
0.861 0.369 0.901
0.099 0.361 0.131
0.401 0.639 0.631
0.599 0.139 0.869
0.901 0.861 0.369
0.131 0.099 0.361
0.631 0.401 0.639
0.869 0.599 0.139
0.369 0.901 0.861
0.639 0.869 0.901
0.361 0.369 0.599
0.861 0.131 0.401
0.139 0.631 0.099
0.901 0.639 0.869
0.599 0.361 0.369
0.401 0.861 0.131
0.099 0.139 0.631
0.869 0.901 0.639
0.369 0.599 0.361
0.131 0.401 0.861
0.631 0.099 0.139
0.365 0.869 0.396
0.635 0.369 0.104
0.135 0.131 0.896
0.865 0.631 0.604
0.396 0.365 0.869
0.104 0.635 0.369
0.896 0.135 0.131
0.604 0.865 0.631
0.869 0.396 0.365
0.369 0.104 0.635
0.131 0.896 0.135
0.631 0.604 0.865
0.635 0.131 0.604
0.365 0.631 0.896
0.865 0.869 0.104
0.135 0.369 0.396
0.604 0.635 0.131
0.896 0.365 0.631
0.104 0.865 0.869
0.396 0.135 0.369
0.131 0.604 0.635
0.631 0.896 0.365
0.869 0.104 0.865
0.369 0.396 0.135
0.400 0.061 0.038
0.600 0.561 0.462
0.100 0.939 0.538
0.900 0.439 0.962
0.038 0.400 0.061
0.462 0.600 0.561
0.538 0.100 0.939
0.962 0.900 0.439
0.061 0.038 0.400
0.561 0.462 0.600
0.939 0.538 0.100
0.439 0.962 0.900
0.600 0.939 0.962
0.400 0.439 0.538
0.900 0.061 0.462
0.100 0.561 0.038
0.962 0.600 0.939
0.538 0.400 0.439
0.462 0.900 0.061
0.038 0.100 0.561
0.939 0.962 0.600
0.439 0.538 0.400
0.061 0.462 0.900
0.561 0.038 0.100
0.307 0.093 0.175
0.693 0.593 0.325
0.193 0.907 0.675
0.807 0.407 0.825
0.175 0.307 0.093
0.325 0.693 0.593
0.675 0.193 0.907
0.825 0.807 0.407
0.093 0.175 0.307
0.593 0.325 0.693
0.907 0.675 0.193
0.407 0.825 0.807
0.693 0.907 0.825
0.307 0.407 0.675
0.807 0.093 0.325
0.193 0.593 0.175
0.825 0.693 0.907
0.675 0.307 0.407
0.325 0.807 0.093
0.175 0.193 0.593
0.907 0.825 0.693
0.407 0.675 0.307
0.093 0.325 0.807
0.593 0.175 0.193
0.371 0.933 0.193
0.629 0.433 0.307
0.129 0.067 0.693
0.871 0.567 0.807
0.193 0.371 0.933
0.307 0.629 0.433
0.693 0.129 0.067
0.807 0.871 0.567
0.933 0.193 0.371
0.433 0.307 0.629
0.067 0.693 0.129
0.567 0.807 0.871
0.629 0.067 0.807
0.371 0.567 0.693
0.871 0.933 0.307
0.129 0.433 0.193
0.807 0.629 0.067
0.693 0.371 0.567
0.307 0.871 0.933
0.193 0.129 0.433
0.067 0.807 0.629
0.567 0.693 0.371
0.933 0.307 0.871
0.433 0.193 0.129
0.178 0.042 0.293
0.822 0.542 0.207
0.322 0.958 0.793
0.678 0.458 0.707
0.293 0.178 0.042
0.207 0.822 0.542
0.793 0.322 0.958
0.707 0.678 0.458
0.042 0.293 0.178
0.542 0.207 0.822
0.958 0.793 0.322
0.458 0.707 0.678
0.822 0.958 0.707
0.178 0.458 0.793
0.678 0.042 0.207
0.322 0.542 0.293
0.707 0.822 0.958
0.793 0.178 0.458
0.207 0.678 0.042
0.293 0.322 0.542
0.958 0.707 0.822
0.458 0.793 0.178
0.042 0.207 0.678
0.542 0.293 0.322
0.289 0.905 0.340
0.711 0.405 0.160
0.211 0.095 0.840
0.789 0.595 0.660
0.340 0.289 0.905
0.160 0.711 0.405
0.840 0.211 0.095
0.660 0.789 0.595
0.905 0.340 0.289
0.405 0.160 0.711
0.095 0.840 0.211
0.595 0.660 0.789
0.711 0.095 0.660
0.289 0.595 0.840
0.789 0.905 0.160
0.211 0.405 0.340
0.660 0.711 0.095
0.840 0.289 0.595
0.160 0.789 0.905
0.340 0.211 0.405
0.095 0.660 0.711
0.595 0.840 0.289
0.905 0.160 0.789
0.405 0.340 0.211
0.400 0.934 0.465
0.600 0.434 0.035
0.100 0.066 0.965
0.900 0.566 0.535
0.465 0.400 0.934
0.035 0.600 0.434
0.965 0.100 0.066
0.535 0.900 0.566
0.934 0.465 0.400
0.434 0.035 0.600
0.066 0.965 0.100
0.566 0.535 0.900
0.600 0.066 0.535
0.400 0.566 0.965
0.900 0.934 0.035
0.100 0.434 0.465
0.535 0.600 0.066
0.965 0.400 0.566
0.035 0.900 0.934
0.465 0.100 0.434
0.066 0.535 0.600
0.566 0.965 0.400
0.934 0.035 0.900
0.434 0.465 0.100
0.342 0.057 0.338
0.658 0.557 0.162
0.158 0.943 0.838
0.842 0.443 0.662
0.338 0.342 0.057
0.162 0.658 0.557
0.838 0.158 0.943
0.662 0.842 0.443
0.057 0.338 0.342
0.557 0.162 0.658
0.943 0.838 0.158
0.443 0.662 0.842
0.658 0.943 0.662
0.342 0.443 0.838
0.842 0.057 0.162
0.158 0.557 0.338
0.662 0.658 0.943
0.838 0.342 0.443
0.162 0.842 0.057
0.338 0.158 0.557
0.943 0.662 0.658
0.443 0.838 0.342
0.057 0.162 0.842
0.557 0.338 0.158
0.209 0.946 0.170
0.791 0.446 0.330
0.291 0.054 0.670
0.709 0.554 0.830
0.170 0.209 0.946
0.330 0.791 0.446
0.670 0.291 0.054
0.830 0.709 0.554
0.946 0.170 0.209
0.446 0.330 0.791
0.054 0.670 0.291
0.554 0.830 0.709
0.791 0.054 0.830
0.209 0.554 0.670
0.709 0.946 0.330
0.291 0.446 0.170
0.830 0.791 0.054
0.670 0.209 0.554
0.330 0.709 0.946
0.170 0.291 0.446
0.054 0.830 0.791
0.554 0.670 0.209
0.946 0.330 0.709
0.446 0.170 0.291
```

***

2.
Below is an optimized crystal structure of Pr8C8Cl5, with properties calculated at the PBE-GGA level.

Values from the calculation:
The value obtained for the energy of formation is -1.107 eV/atom.

Geometry as POSCAR:
```
Pr8C8Cl5
1.0
17.117 0.000 0.000
0.000 6.836 0.000
0.000 1.865 7.487
Pr C Cl
16 16 10
Direct
0.070 0.876 0.151
0.570 0.624 0.849
0.930 0.124 0.849
0.430 0.376 0.151
0.951 0.383 0.225
0.451 0.117 0.775
0.049 0.617 0.775
0.549 0.883 0.225
0.195 0.376 0.074
0.695 0.124 0.926
0.805 0.624 0.926
0.305 0.876 0.074
0.173 0.103 0.701
0.673 0.397 0.299
0.827 0.897 0.299
0.327 0.603 0.701
0.038 0.277 0.021
0.538 0.223 0.979
0.962 0.723 0.979
0.462 0.777 0.021
0.160 0.764 0.952
0.660 0.736 0.048
0.840 0.236 0.048
0.340 0.264 0.952
0.085 0.221 0.902
0.585 0.279 0.098
0.915 0.779 0.098
0.415 0.721 0.902
0.285 0.218 0.842
0.785 0.282 0.158
0.715 0.782 0.158
0.215 0.718 0.842
0.203 0.984 0.350
0.703 0.516 0.650
0.797 0.016 0.650
0.297 0.484 0.350
0.097 0.482 0.415
0.597 0.018 0.585
0.903 0.518 0.585
0.403 0.982 0.415
0.000 0.000 0.500
0.500 0.500 0.500
```

***

- Among the records above, which one has the lowest energy of formation?
  Rb3Sc2As3O12